# 1
Si4Ir3 after structural relaxation. Source: the Materials Project, functional GGA-PBE.

DFT total energy ... -7.56 eV/atom
Calculated formation energy ... -0.670 eV/atom

Lattice parameters (Å, degrees): 3.737 5.837 19.031 90.00 90.00 90.00
Element x y z (fractional)
Si: 0.250 0.973 0.450
Si: 0.750 0.027 0.550
Si: 0.750 0.473 0.050
Si: 0.250 0.527 0.950
Si: 0.250 0.075 0.909
Si: 0.750 0.925 0.091
Si: 0.750 0.575 0.591
Si: 0.250 0.425 0.409
Si: 0.250 0.715 0.270
Si: 0.750 0.285 0.730
Si: 0.750 0.215 0.230
Si: 0.250 0.785 0.770
Si: 0.250 0.389 0.144
Si: 0.750 0.611 0.856
Si: 0.750 0.889 0.356
Si: 0.250 0.111 0.644
Ir: 0.250 0.392 0.826
Ir: 0.750 0.608 0.174
Ir: 0.750 0.892 0.674
Ir: 0.250 0.108 0.326
Ir: 0.250 0.500 0.676
Ir: 0.750 0.500 0.324
Ir: 0.750 0.000 0.824
Ir: 0.250 0.000 0.176
Ir: 0.250 0.304 0.531
Ir: 0.750 0.696 0.469
Ir: 0.750 0.804 0.969
Ir: 0.250 0.196 0.031

***

# 2
Si5Ir4 after structural relaxation. Source: the Materials Project, functional GGA-PBE.

DFT total energy ... -7.62 eV/atom
Calculated formation energy ... -0.680 eV/atom
M_tot ... 0.0 μB per cell

Lattice parameters (Å, degrees): 3.653 5.943 12.451 100.03 90.00 90.00
Element x y z (fractional)
Si: 0.250 0.643 0.637
Si: 0.750 0.357 0.363
Si: 0.250 0.890 0.424
Si: 0.750 0.110 0.576
Si: 0.250 0.472 0.225
Si: 0.750 0.528 0.775
Si: 0.750 0.978 0.141
Si: 0.250 0.022 0.859
Si: 0.250 0.491 0.922
Si: 0.750 0.509 0.078
Ir: 0.250 0.219 0.049
Ir: 0.750 0.781 0.951
Ir: 0.250 0.107 0.274
Ir: 0.750 0.893 0.726
Ir: 0.250 0.300 0.502
Ir: 0.750 0.700 0.498
Ir: 0.250 0.290 0.731
Ir: 0.750 0.710 0.269

***

# 3
SiIr2 after structural relaxation. Source: the Materials Project, functional GGA-PBE.

DFT total energy ... -8.03 eV/atom
Calculated formation energy ... -0.331 eV/atom
M_tot ... 0.0 μB per cell

Lattice parameters (Å, degrees): 4.194 4.194 5.505 90.00 90.00 120.00
Element x y z (fractional)
Si: 0.333 0.667 0.250
Si: 0.667 0.333 0.750
Ir: 0.333 0.667 0.750
Ir: 0.667 0.333 0.250
Ir: 0.000 0.000 0.000
Ir: 0.000 0.000 0.500

***

- What is the formula in the first record?
  Si4Ir3

***

- Which formula does entry 2 have?
  Si5Ir4

***

- What is the formula in the third record?
  SiIr2

***

- The lowest DFT total energy belongs to which entry?
  SiIr2